Arrangement w

Material: Li8Co5O10
Method: DFT, PBE with a Hubbard U
State: relaxed

```
data_Li8Co5O10
_chemical_formula_sum 'Li16 Co10 O20'
_cell_length_a 5.358
_cell_length_b 6.647
_cell_length_c 15.815
_cell_angle_alpha 82.00
_cell_angle_beta 83.31
_cell_angle_gamma 66.34
_space_group_name_H-M_alt 'P -1'
_space_group_IT_number 2
loop_
_space_group_symop_operation_xyz
'x,y,z'
'-x,-y,-z'
loop_
_atom_site_label
_atom_site_type_symbol
_atom_site_fract_x
_atom_site_fract_y
_atom_site_fract_z
Li1 Li 0.029 0.144 0.265
Li2 Li 0.088 0.041 0.420
Li3 Li 0.142 0.321 0.975
Li4 Li 0.227 0.493 0.835
Li5 Li 0.262 0.511 0.666
Li6 Li 0.362 0.677 0.526
Li7 Li 0.409 0.962 0.079
Li8 Li 0.466 0.860 0.230
Co1 Co 0.000 0.500 0.500
Co2 Co 0.098 0.699 0.201
Co3 Co 0.186 0.904 0.903
Co4 Co 0.313 0.099 0.597
Co5 Co 0.404 0.301 0.300
Co6 Co 0.500 0.500 0.000
O1 O 0.004 0.215 0.519
O2 O 0.063 0.426 0.256
O3 O 0.126 0.983 0.169
O4 O 0.179 0.607 0.944
O5 O 0.239 0.187 0.863
O6 O 0.278 0.811 0.638
O7 O 0.321 0.393 0.555
O8 O 0.371 0.031 0.331
O9 O 0.465 0.549 0.253
O10 O 0.495 0.785 0.979
```

=====

Arrangement x

Material: Li8Co5O10
Method: DFT, PBE with a Hubbard U
State: relaxed

```
data_Li8Co5O10
_chemical_formula_sum 'Li8 Co5 O10'
_cell_length_a 5.362
_cell_length_b 6.635
_cell_length_c 8.054
_cell_angle_alpha 90.05
_cell_angle_beta 102.67
_cell_angle_gamma 113.76
_space_group_name_H-M_alt 'P 1'
_space_group_IT_number 1
loop_
_space_group_symop_operation_xyz
'x,y,z'
loop_
_atom_site_label
_atom_site_type_symbol
_atom_site_fract_x
_atom_site_fract_y
_atom_site_fract_z
Li1 Li 0.000 0.000 0.000
Li2 Li 0.020 0.923 0.682
Li3 Li 0.215 0.104 0.309
Li4 Li 0.396 0.284 0.890
Li5 Li 0.437 0.448 0.172
Li6 Li 0.567 0.466 0.509
Li7 Li 0.628 0.640 0.790
Li8 Li 0.812 0.818 0.379
Co1 Co 0.011 0.462 0.843
Co2 Co 0.208 0.659 0.438
Co3 Co 0.422 0.861 0.035
Co4 Co 0.598 0.056 0.647
Co5 Co 0.807 0.262 0.243
O1 O 0.036 0.748 0.885
O2 O 0.192 0.387 0.329
O3 O 0.215 0.945 0.505
O4 O 0.389 0.569 0.954
O5 O 0.428 0.150 0.119
O6 O 0.612 0.774 0.569
O7 O 0.636 0.353 0.731
O8 O 0.791 0.508 0.339
O9 O 0.810 0.992 0.181
O10 O 0.986 0.176 0.805
```

=====

arrangement x is favored, and the nearest alternative lies 6 meV per atom above it.

=====

Arrangement w

Material: Li2CoO2
Method: DFT, PBE with a Hubbard U
State: relaxed

```
data_Li2CoO2
_chemical_formula_sum 'Li2 Co1 O2'
_cell_length_a 3.1530
_cell_length_b 3.1530
_cell_length_c 5.1243
_cell_angle_alpha 90.00
_cell_angle_beta 90.00
_cell_angle_gamma 120.00
_space_group_name_H-M_alt 'P -3 m 1'
_space_group_IT_number 164
_space_group_name_Hall '-P 3 2"'
loop_
_atom_site_label
_atom_site_type_symbol
_atom_site_fract_x
_atom_site_fract_y
_atom_site_fract_z
Li1 Li 0.3333 0.6667 0.1425
Co1 Co 0.0000 0.0000 0.5000
O1 O 0.3333 0.6667 0.7371
```

=====

Arrangement x

Material: Li2CoO2
Method: DFT, PBE with a Hubbard U
State: relaxed

```
data_Li2CoO2
_chemical_formula_sum 'Li4 Co2 O4'
_cell_length_a 5.171
_cell_length_b 3.074
_cell_length_c 5.596
_cell_angle_alpha 90.00
_cell_angle_beta 91.77
_cell_angle_gamma 90.00
_space_group_name_H-M_alt 'P 1 2/m 1'
_space_group_IT_number 10
loop_
_space_group_symop_operation_xyz
'x,y,z'
'-x,-y,-z'
'-x,y,-z'
'x,-y,z'
loop_
_atom_site_label
_atom_site_type_symbol
_atom_site_fract_x
_atom_site_fract_y
_atom_site_fract_z
Li1 Li 0.139 0.000 0.164
Li2 Li 0.141 0.500 0.666
Co1 Co 0.500 0.000 0.500
Co2 Co 0.500 0.500 0.000
O1 O 0.259 0.000 0.843
O2 O 0.265 0.500 0.341
```

=====

arrangement w is favored, and the nearest alternative lies 14 meV per atom above it.